# H48PtW6C8N24O24 (PBE+U, optimized geometry)
# - Energy: -6.196 eV per atom
# - E (MP2020): -6.5849 eV per atom
# - ΔE_f: -0.8252 eV/atom
# - Total magnetic moment: 0.00 μB/atom
data_H48PtW6C8N24O24
_symmetry_space_group_name_H-M 'R -3'
_symmetry_Int_Tables_number 148
_symmetry_space_group_name_Hall '-R 3'
_cell_length_a 13.1179
_cell_length_b 13.1179
_cell_length_c 22.3140
_cell_angle_alpha 90.00
_cell_angle_beta 90.00
_cell_angle_gamma 120.00
loop_
_atom_site_label
_atom_site_type_symbol
_atom_site_fract_x
_atom_site_fract_y
_atom_site_fract_z
_atom_site_occupancy
H1 H 0.0128 0.8460 0.1245 1
H2 H 0.0136 0.3107 0.1961 1
H3 H 0.0303 0.8615 0.5884 1
H4 H 0.0394 0.8343 0.2819 1
H5 H 0.0457 0.2707 0.1254 1
H6 H 0.0563 0.8804 0.4144 1
H7 H 0.0578 0.4707 0.9491 1
H8 H 0.0594 0.2074 0.8057 1
Pt1 Pt 0.0000 0.0000 0.0000 1
W1 W 0.0474 0.5620 0.6655 1
C1 C 0.0000 0.0000 0.4150 1
C2 C 0.1018 0.5480 0.8668 1
N1 N 0.0169 0.8349 0.1701 1
N2 N 0.0318 0.1142 0.4155 1
N3 N 0.0518 0.2732 0.1716 1
N4 N 0.0916 0.5484 0.9268 1
O1 O 0.0217 0.1465 0.9562 1
O2 O 0.0455 0.2871 0.6125 1
O3 O 0.0469 0.2775 0.0444 1
O4 O 0.0526 0.5225 0.3931 1

# VH15C4S2N2O10 (PBE+U, optimized geometry)
# - Energy: -5.801 eV per atom
# - E (MP2020): -6.0532 eV per atom
# - ΔE_f: -1.0146 eV/atom
# - Total magnetic moment: 0.06 μB/atom
data_VH15C4S2N2O10
_symmetry_space_group_name_H-M 'P 1 21/c 1'
_symmetry_Int_Tables_number 14
_symmetry_space_group_name_Hall '-P 2ybc'
_cell_length_a 9.5423
_cell_length_b 18.6919
_cell_length_c 7.2554
_cell_angle_alpha 90.00
_cell_angle_beta 99.62
_cell_angle_gamma 90.00
loop_
_atom_site_label
_atom_site_type_symbol
_atom_site_fract_x
_atom_site_fract_y
_atom_site_fract_z
_atom_site_occupancy
V1 V 0.1990 0.2479 0.0919 1
H1 H 0.1032 0.5666 0.6292 1
H2 H 0.1175 0.5947 0.8661 1
H3 H 0.1265 0.6990 0.6522 1
H4 H 0.1706 0.0020 0.7509 1
H5 H 0.1883 0.0629 0.6136 1
H6 H 0.2052 0.1517 0.8361 1
H7 H 0.2406 0.6475 0.4167 1
H8 H 0.2643 0.0072 0.3245 1
H9 H 0.2871 0.6901 0.8193 1
H10 H 0.3204 0.5115 0.5253 1
H11 H 0.3490 0.7135 0.5309 1
H12 H 0.3679 0.5618 0.9190 1
H13 H 0.4797 0.5075 0.6941 1
H14 H 0.4829 0.6105 0.4667 1
H15 H 0.4958 0.1380 0.7969 1
C1 C 0.1736 0.5914 0.7468 1
C2 C 0.2201 0.6656 0.6982 1
C3 C 0.3851 0.5394 0.6425 1
C4 C 0.4298 0.6133 0.5893 1
S1 S 0.0175 0.1338 0.3074 1
S2 S 0.4386 0.1639 0.3924 1
N1 N 0.3002 0.5437 0.7980 1
N2 N 0.3055 0.6625 0.5432 1
O1 O 0.0380 0.1818 0.4769 1
O2 O 0.0425 0.1766 0.1399 1
O3 O 0.1143 0.0721 0.3417 1
O4 O 0.1331 0.6097 0.2287 1
O5 O 0.2004 0.2043 0.8402 1
O6 O 0.2145 0.0492 0.7457 1
O7 O 0.3460 0.1724 0.2046 1
O8 O 0.3542 0.1819 0.5448 1
O9 O 0.4365 0.7109 0.0948 1
O10 O 0.4826 0.0882 0.4151 1

# SnH18W3C4N6O12 (PBE+U, optimized geometry)
# - Energy: -6.039 eV per atom
# - E (MP2020): -6.5292 eV per atom
# - ΔE_f: -0.8414 eV/atom
# - Total magnetic moment: 0.05 μB/atom
data_SnH18W3C4N6O12
_symmetry_space_group_name_H-M 'C 1 2/c 1'
_symmetry_Int_Tables_number 15
_symmetry_space_group_name_Hall '-C 2yc'
_cell_length_a 24.3293
_cell_length_b 10.4686
_cell_length_c 20.1070
_cell_angle_alpha 90.00
_cell_angle_beta 125.08
_cell_angle_gamma 90.00
loop_
_atom_site_label
_atom_site_type_symbol
_atom_site_fract_x
_atom_site_fract_y
_atom_site_fract_z
_atom_site_occupancy
Sn1 Sn 0.0462 0.1820 0.4097 1
H1 H 0.0013 0.0375 0.5770 1
H2 H 0.0007 0.2664 0.0051 1
H3 H 0.0297 0.3646 0.0926 1
H4 H 0.0330 0.0660 0.8663 1
H5 H 0.0541 0.3841 0.4981 1
H6 H 0.0884 0.0546 0.9758 1
H7 H 0.0978 0.2753 0.8426 1
H8 H 0.1151 0.4106 0.7597 1
H9 H 0.1191 0.1105 0.8511 1
H10 H 0.1389 0.3386 0.7015 1
H11 H 0.1575 0.0269 0.7803 1
H12 H 0.1622 0.4724 0.1240 1
H13 H 0.1640 0.3677 0.1918 1
H14 H 0.1721 0.1231 0.7209 1
H15 H 0.1854 0.1550 0.1933 1
H16 H 0.1870 0.3903 0.0342 1
H17 H 0.2003 0.2245 0.0328 1
H18 H 0.2019 0.0890 0.1268 1
W1 W 0.1174 0.2498 0.2994 1
W2 W 0.2167 0.2585 0.6174 1
W3 W 0.2225 0.0912 0.4810 1
C1 C 0.0138 0.3163 0.4594 1
C2 C 0.0420 0.0202 0.9206 1
C3 C 0.1305 0.2143 0.7738 1
C4 C 0.1778 0.2813 0.1113 1
N1 N 0.1132 0.1985 0.8259 1
N2 N 0.1254 0.3284 0.7413 1
N3 N 0.1522 0.1134 0.7539 1
N4 N 0.1631 0.3793 0.1410 1
N5 N 0.1827 0.2989 0.0487 1
N6 N 0.1847 0.1642 0.1422 1
O1 O 0.0490 0.4301 0.8398 1
O2 O 0.0531 0.1648 0.2081 1
O3 O 0.0714 0.2892 0.3468 1
O4 O 0.1165 0.4045 0.2627 1
O5 O 0.1440 0.0767 0.3749 1
O6 O 0.1592 0.1824 0.5067 1
O7 O 0.1623 0.3546 0.6298 1
O8 O 0.1938 0.1808 0.2956 1
O9 O 0.2158 0.2941 0.4212 1
O10 O 0.2166 0.4238 0.5458 1
O11 O 0.2192 0.1149 0.6670 1
O12 O 0.2285 0.0605 0.0235 1